The following is a DFT calculation (PBE) of crystalline LiSn4P7O24 at its relaxed geometry.

Values from the calculation:
The formation energy comes out at -87.0 eV per formula unit. The value obtained for the calculated total energy is -6.8072 eV per atom. For the density, the calculation gives 3.40 Mg/m³. Its crystal system is triclinic.

Unit cell a=10.5433 b=11.0343 c=11.4327 alpha=109.05 beta=111.90 gamma=104.28
Last column: nearest neighbours and their distance in Å.
Fractional coordinates of all 72 atoms:
O 0.3537 0.9422 0.0343  1 P 1.52
O 0.5837 0.5585 0.3657  1 P 1.50
O 0.9011 0.5080 0.0299  1 P 1.60
O 0.7993 0.5068 0.5107  2 P 1.60-1.63
O 0.3667 0.8034 0.8171  1 P 1.57
O 0.8687 0.2034 0.8721  1 P 1.51
O 0.6333 0.1966 0.1829  1 P 1.57
O 0.3167 0.1835 0.8781  1 P 1.50
O 0.7793 0.4379 0.6971  1 P 1.54
O 0.1136 0.0183 0.6197  1 P 1.56
O 0.6314 0.9899 0.2894  1 P 1.55
O 0.8692 0.2907 0.1671  1 P 1.51
O 0.6213 0.9975 0.6747  1 P 1.55
O 0.1435 0.0464 0.2233  2 P 1.59-1.66
O 0.3505 0.1888 0.1947  1 P 1.54
O 0.3879 0.7345 0.5580  1 P 1.54
O 0.9028 0.7971 0.8925  1 P 1.50
O 0.1033 0.6693 0.4507  1 P 1.52
O 0.6833 0.8165 0.1219  1 P 1.50
O 0.3686 0.0101 0.7106  1 P 1.55
O 0.6463 0.0578 0.9657  1 P 1.52
O 0.3553 0.6291 0.0007  1 P 1.53
O 0.6855 0.5627 0.9272  1 P 1.55
O 0.6495 0.8112 0.8053  1 P 1.54
O 0.6447 0.3709 0.9993  1 P 1.53
O 0.1868 0.9205 0.7928  2 P 1.61-1.62
O 0.1701 0.9225 0.3767  1 P 1.51
O 0.1313 0.7966 0.1279  1 P 1.51
O 0.4163 0.4415 0.6343  1 P 1.50
O 0.3145 0.4373 0.0728  1 P 1.55
O 0.2857 0.3162 0.3713  2 P 1.59-1.62
O 0.6121 0.2655 0.4420  1 P 1.54
O 0.8864 0.9817 0.3803  1 P 1.56
O 0.8565 0.9536 0.7767  2 P 1.59-1.66
O 0.1308 0.7093 0.8329  1 P 1.51
O 0.1930 0.3782 0.8039  1 P 1.55
O 0.8644 0.7377 0.5079  1 P 1.50
O 0.8132 0.0795 0.2072  2 P 1.61-1.62
O 0.2207 0.5621 0.3029  1 P 1.54
O 0.2007 0.4932 0.4893  2 P 1.60-1.63
O 0.8967 0.3307 0.5493  1 P 1.52
O 0.3787 0.0025 0.3253  1 P 1.55
O 0.0989 0.4920 0.9701  1 P 1.60
O 0.1356 0.2623 0.4921  1 P 1.50
O 0.8299 0.0775 0.6233  1 P 1.51
O 0.0972 0.2029 0.1075  1 P 1.50
O 0.7143 0.6838 0.6287  2 P 1.59-1.62
O 0.8070 0.6218 0.1961  1 P 1.55
Sn 0.5029 0.9088 0.7540  6 O 2.03-2.11
Sn 0.4950 0.3475 0.0973  3 O 2.22-2.32
Sn 0.9826 0.8030 0.3990  5 O 2.18-2.41
Sn 0.0111 0.3702 0.0815  4 O 2.11-2.30
Sn 0.5050 0.6525 0.9027  3 O 2.22-2.32
Sn 0.9889 0.6298 0.9185  4 O 2.11-2.30
Sn 0.0174 0.1970 0.6010  5 O 2.18-2.41
Sn 0.4971 0.0912 0.2460  6 O 2.03-2.11
P 0.2063 0.9337 0.2637  4 O 1.51-1.66
P 0.2618 0.3776 0.5075  4 O 1.50-1.62
P 0.7937 0.0663 0.7363  4 O 1.51-1.66
P 0.7390 0.1593 0.1249  4 O 1.51-1.61
P 0.2610 0.8407 0.8751  4 O 1.51-1.61
P 0.2258 0.6218 0.4476  4 O 1.52-1.63
P 0.2155 0.1871 0.2176  4 O 1.50-1.59
P 0.7473 0.9591 0.2467  4 O 1.50-1.62
P 0.7382 0.6224 0.4925  4 O 1.50-1.62
P 0.7563 0.5169 0.0416  4 O 1.53-1.60
P 0.2527 0.0409 0.7533  4 O 1.50-1.62
P 0.2437 0.4831 0.9584  4 O 1.53-1.60
P 0.7845 0.8129 0.7824  4 O 1.50-1.59
P 0.7742 0.3782 0.5524  4 O 1.52-1.63
Li 0.5984 0.4173 0.7187  3 O 1.93-2.06
Li 0.4016 0.5827 0.2813  3 O 1.93-2.06